Entry 1:
A plane-wave DFT calculation with r2SCAN was carried out for DyMgHg2 after structural relaxation.

* ΔE_f: -0.52 eV/atom

CIF file:
```
data_DyMgHg2
_cell_length_a 7.110
_cell_length_b 7.110
_cell_length_c 7.110
_cell_angle_alpha 90.00
_cell_angle_beta 90.00
_cell_angle_gamma 90.00
_space_group_name_H-M_alt 'F m -3 m'
_space_group_IT_number 225
_space_group_name_Hall '-F 4 2 3'
loop_
_atom_site_label
_atom_site_fract_x
_atom_site_fract_y
_atom_site_fract_z
Dy1 0.000 0.000 0.000
Mg1 0.000 0.000 0.500
Hg1 0.250 0.250 0.250
```

=====

Entry 2:
A plane-wave DFT calculation with r2SCAN was carried out for SmDyHg2 after structural relaxation.

* ΔE_f: -0.57 eV/atom

CIF file:
```
data_SmDyHg2
_cell_length_a 7.471
_cell_length_b 7.471
_cell_length_c 7.471
_cell_angle_alpha 90.00
_cell_angle_beta 90.00
_cell_angle_gamma 90.00
_space_group_name_H-M_alt 'F m -3 m'
_space_group_IT_number 225
_space_group_name_Hall '-F 4 2 3'
loop_
_atom_site_label
_atom_site_fract_x
_atom_site_fract_y
_atom_site_fract_z
Sm1 0.000 0.000 0.000
Dy1 0.000 0.000 0.500
Hg1 0.250 0.250 0.250
```

=====

Entry 3:
A plane-wave DFT calculation with r2SCAN was carried out for DyYHg2 after structural relaxation.

* ΔE_f: -0.59 eV/atom

CIF file:
```
data_DyYHg2
_cell_length_a 7.396
_cell_length_b 7.396
_cell_length_c 7.396
_cell_angle_alpha 90.00
_cell_angle_beta 90.00
_cell_angle_gamma 90.00
_space_group_name_H-M_alt 'F m -3 m'
_space_group_IT_number 225
_space_group_name_Hall '-F 4 2 3'
loop_
_atom_site_label
_atom_site_fract_x
_atom_site_fract_y
_atom_site_fract_z
Dy1 0.000 0.000 0.000
Y1 0.000 0.000 0.500
Hg1 0.250 0.250 0.250
```

=====

Entry 4:
A plane-wave DFT calculation with r2SCAN was carried out for DyHo after structural relaxation.

* ΔE_f: -0.01 eV/atom

CIF file:
```
data_DyHo
_cell_length_a 3.5884
_cell_length_b 3.5884
_cell_length_c 5.7549
_cell_angle_alpha 90.00
_cell_angle_beta 90.00
_cell_angle_gamma 120.00
_space_group_name_H-M_alt 'P -6 m 2'
_space_group_IT_number 187
_space_group_name_Hall 'P -6 2'
loop_
_atom_site_label
_atom_site_fract_x
_atom_site_fract_y
_atom_site_fract_z
Dy1 0.0000 0.0000 0.0000
Ho1 0.6667 0.3333 0.5000
```

=====

Entry 5:
A plane-wave DFT calculation with r2SCAN was carried out for Dy3Ho after structural relaxation.

* ΔE_f: 0.04 eV/atom

CIF file:
```
data_Dy3Ho
_cell_length_a 5.013
_cell_length_b 5.013
_cell_length_c 5.013
_cell_angle_alpha 90.00
_cell_angle_beta 90.00
_cell_angle_gamma 90.00
_space_group_name_H-M_alt 'P m -3 m'
_space_group_IT_number 221
_space_group_name_Hall '-P 4 2 3'
loop_
_atom_site_label
_atom_site_fract_x
_atom_site_fract_y
_atom_site_fract_z
Dy1 0.000 0.000 0.500
Ho1 0.500 0.500 0.500
```

=====

Entry 6:
A plane-wave DFT calculation with r2SCAN was carried out for DyHoIr2 after structural relaxation.

* ΔE_f: -0.96 eV/atom

CIF file:
```
data_DyHoIr2
_cell_length_a 6.802
_cell_length_b 6.802
_cell_length_c 6.802
_cell_angle_alpha 90.00
_cell_angle_beta 90.00
_cell_angle_gamma 90.00
_space_group_name_H-M_alt 'F m -3 m'
_space_group_IT_number 225
_space_group_name_Hall '-F 4 2 3'
loop_
_atom_site_label
_atom_site_fract_x
_atom_site_fract_y
_atom_site_fract_z
Dy1 0.000 0.000 0.000
Ho1 0.000 0.000 0.500
Ir1 0.250 0.250 0.250
```

=====

Entry 7:
A plane-wave DFT calculation with r2SCAN was carried out for DyHoMg2 after structural relaxation.

* ΔE_f: -0.09 eV/atom

CIF file:
```
data_DyHoMg2
_cell_length_a 7.568
_cell_length_b 7.568
_cell_length_c 7.568
_cell_angle_alpha 90.00
_cell_angle_beta 90.00
_cell_angle_gamma 90.00
_space_group_name_H-M_alt 'F m -3 m'
_space_group_IT_number 225
_space_group_name_Hall '-F 4 2 3'
loop_
_atom_site_label
_atom_site_fract_x
_atom_site_fract_y
_atom_site_fract_z
Dy1 0.000 0.000 0.000
Ho1 0.000 0.000 0.500
Mg1 0.250 0.250 0.250
```

=====

Entry 8:
A plane-wave DFT calculation with r2SCAN was carried out for DyHoRu2 after structural relaxation.

* ΔE_f: -0.39 eV/atom

CIF file:
```
data_DyHoRu2
_cell_length_a 6.743
_cell_length_b 6.743
_cell_length_c 6.743
_cell_angle_alpha 90.00
_cell_angle_beta 90.00
_cell_angle_gamma 90.00
_space_group_name_H-M_alt 'F m -3 m'
_space_group_IT_number 225
_space_group_name_Hall '-F 4 2 3'
loop_
_atom_site_label
_atom_site_fract_x
_atom_site_fract_y
_atom_site_fract_z
Dy1 0.000 0.000 0.000
Ho1 0.000 0.000 0.500
Ru1 0.250 0.250 0.250
```

=====

Entry 9:
A plane-wave DFT calculation with r2SCAN was carried out for DyHoTl2 after structural relaxation.

* ΔE_f: -0.44 eV/atom

CIF file:
```
data_DyHoTl2
_cell_length_a 7.522
_cell_length_b 7.522
_cell_length_c 7.522
_cell_angle_alpha 90.00
_cell_angle_beta 90.00
_cell_angle_gamma 90.00
_space_group_name_H-M_alt 'F m -3 m'
_space_group_IT_number 225
_space_group_name_Hall '-F 4 2 3'
loop_
_atom_site_label
_atom_site_fract_x
_atom_site_fract_y
_atom_site_fract_z
Dy1 0.000 0.000 0.000
Ho1 0.000 0.000 0.500
Tl1 0.250 0.250 0.250
```

=====

Entry 10:
A plane-wave DFT calculation with r2SCAN was carried out for DyI3 after structural relaxation.

* ΔE_f: -1.55 eV/atom

CIF file:
```
data_DyI3
_cell_length_a 11.0220
_cell_length_b 11.0220
_cell_length_c 3.9932
_cell_angle_alpha 90.00
_cell_angle_beta 90.00
_cell_angle_gamma 120.00
_space_group_name_H-M_alt 'P 63/m m c'
_space_group_IT_number 194
_space_group_name_Hall '-P 6c 2c'
loop_
_atom_site_label
_atom_site_fract_x
_atom_site_fract_y
_atom_site_fract_z
Dy1 0.3333 0.6667 0.2500
I1 0.2125 0.4249 0.7500
```

=====

Entry 11:
A plane-wave DFT calculation with r2SCAN was carried out for DyI3O9 after structural relaxation.

* ΔE_f: -1.11 eV/atom

CIF file:
```
data_DyI3O9
_cell_length_a 8.688
_cell_length_b 5.978
_cell_length_c 16.421
_cell_angle_alpha 90.00
_cell_angle_beta 114.61
_cell_angle_gamma 90.00
_space_group_name_H-M_alt 'P 1 21/c 1'
_space_group_IT_number 14
loop_
_space_group_symop_operation_xyz
'x,y,z'
'-x,-y,-z'
'-x,y+1/2,-z+1/2'
'x,-y+1/2,z+1/2'
loop_
_atom_site_label
_atom_site_fract_x
_atom_site_fract_y
_atom_site_fract_z
Dy1 0.146 0.214 0.103
I1 0.075 0.186 0.355
I2 0.357 0.650 0.521
I3 0.419 0.598 0.800
O1 0.058 0.059 0.690
O2 0.095 0.608 0.670
O3 0.116 0.121 0.470
O4 0.128 0.621 0.487
O5 0.342 0.589 0.888
O6 0.343 0.178 0.256
O7 0.355 0.071 0.942
O8 0.363 0.010 0.636
O9 0.394 0.027 0.118
```

=====

Entry 12:
A plane-wave DFT calculation with r2SCAN was carried out for DySI after structural relaxation.

* ΔE_f: -2.08 eV/atom

CIF file:
```
data_DySI
_cell_length_a 4.189
_cell_length_b 5.326
_cell_length_c 9.636
_cell_angle_alpha 90.00
_cell_angle_beta 90.00
_cell_angle_gamma 90.00
_space_group_name_H-M_alt 'P m m n'
_space_group_IT_number 59
loop_
_space_group_symop_operation_xyz
'x,y,z'
'-x,-y,-z'
'-x+1/2,-y+1/2,z'
'x+1/2,y+1/2,-z'
'x+1/2,-y,-z'
'-x+1/2,y,z'
'-x,y+1/2,-z'
'x,-y+1/2,z'
loop_
_atom_site_label
_atom_site_fract_x
_atom_site_fract_y
_atom_site_fract_z
Dy1 0.250 0.250 0.118
S1 0.250 0.750 0.065
I1 0.250 0.750 0.654
```

=====

Entry 13:
A plane-wave DFT calculation with r2SCAN was carried out for DyIn after structural relaxation.

* ΔE_f: -0.59 eV/atom

CIF file:
```
data_DyIn
_cell_length_a 3.743
_cell_length_b 3.743
_cell_length_c 3.743
_cell_angle_alpha 90.00
_cell_angle_beta 90.00
_cell_angle_gamma 90.00
_space_group_name_H-M_alt 'P m -3 m'
_space_group_IT_number 221
_space_group_name_Hall '-P 4 2 3'
loop_
_atom_site_label
_atom_site_fract_x
_atom_site_fract_y
_atom_site_fract_z
Dy1 0.000 0.000 0.000
In1 0.500 0.500 0.500
```

=====

Entry 14:
A plane-wave DFT calculation with r2SCAN was carried out for DyInIr after structural relaxation.

* ΔE_f: -0.84 eV/atom

CIF file:
```
data_DyInIr
_cell_length_a 7.4381
_cell_length_b 7.4381
_cell_length_c 3.9717
_cell_angle_alpha 90.00
_cell_angle_beta 90.00
_cell_angle_gamma 120.00
_space_group_name_H-M_alt 'P -6 2 m'
_space_group_IT_number 189
_space_group_name_Hall 'P -6 -2'
loop_
_atom_site_label
_atom_site_fract_x
_atom_site_fract_y
_atom_site_fract_z
Dy1 0.0000 0.4064 0.0000
In1 0.0000 0.7444 0.5000
Ir1 0.0000 0.0000 0.0000
Ir2 0.3333 0.6667 0.5000
```

=====

Entry 15:
A plane-wave DFT calculation with r2SCAN was carried out for Dy4InIr after structural relaxation.

* ΔE_f: -0.69 eV/atom

CIF file:
```
data_Dy4InIr
_cell_length_a 13.608
_cell_length_b 13.608
_cell_length_c 13.608
_cell_angle_alpha 90.00
_cell_angle_beta 90.00
_cell_angle_gamma 90.00
_space_group_name_H-M_alt 'F -4 3 m'
_space_group_IT_number 216
_space_group_name_Hall 'F -4 2 3'
loop_
_atom_site_label
_atom_site_fract_x
_atom_site_fract_y
_atom_site_fract_z
Dy1 0.000 0.000 0.190
Dy2 0.059 0.250 0.250
Dy3 0.099 0.099 0.599
In1 0.167 0.167 0.833
Ir1 0.109 0.109 0.391
```

=====

Entry 16:
A plane-wave DFT calculation with r2SCAN was carried out for LiDy2In after structural relaxation.

* ΔE_f: -0.36 eV/atom

CIF file:
```
data_LiDy2In
_cell_length_a 7.431
_cell_length_b 7.431
_cell_length_c 7.431
_cell_angle_alpha 90.00
_cell_angle_beta 90.00
_cell_angle_gamma 90.00
_space_group_name_H-M_alt 'F m -3 m'
_space_group_IT_number 225
_space_group_name_Hall '-F 4 2 3'
loop_
_atom_site_label
_atom_site_fract_x
_atom_site_fract_y
_atom_site_fract_z
Li1 0.000 0.000 0.000
Dy1 0.250 0.250 0.250
In1 0.000 0.000 0.500
```

=====

Entry 17:
A plane-wave DFT calculation with r2SCAN was carried out for DyMgIn after structural relaxation.

* ΔE_f: -0.51 eV/atom

CIF file:
```
data_DyMgIn
_cell_length_a 7.4946
_cell_length_b 7.4946
_cell_length_c 4.6581
_cell_angle_alpha 90.00
_cell_angle_beta 90.00
_cell_angle_gamma 120.00
_space_group_name_H-M_alt 'P -6 2 m'
_space_group_IT_number 189
_space_group_name_Hall 'P -6 -2'
loop_
_atom_site_label
_atom_site_fract_x
_atom_site_fract_y
_atom_site_fract_z
Dy1 0.0000 0.5663 0.0000
Mg1 0.0000 0.2423 0.5000
In1 0.0000 0.0000 0.0000
In2 0.3333 0.6667 0.5000
```

=====

Entry 18:
A plane-wave DFT calculation with r2SCAN was carried out for DyInNi after structural relaxation.

* ΔE_f: -0.56 eV/atom

CIF file:
```
data_DyInNi
_cell_length_a 7.4126
_cell_length_b 7.4126
_cell_length_c 3.7516
_cell_angle_alpha 90.00
_cell_angle_beta 90.00
_cell_angle_gamma 120.00
_space_group_name_H-M_alt 'P -6 2 m'
_space_group_IT_number 189
_space_group_name_Hall 'P -6 -2'
loop_
_atom_site_label
_atom_site_fract_x
_atom_site_fract_y
_atom_site_fract_z
Dy1 0.0000 0.5878 0.0000
In1 0.0000 0.2536 0.5000
Ni1 0.0000 0.0000 0.0000
Ni2 0.3333 0.6667 0.5000
```

=====

Entry 19:
A plane-wave DFT calculation with r2SCAN was carried out for Dy2InNi2 after structural relaxation.

* ΔE_f: -0.57 eV/atom

CIF file:
```
data_Dy2InNi2
_cell_length_a 3.843
_cell_length_b 14.145
_cell_length_c 3.689
_cell_angle_alpha 90.00
_cell_angle_beta 90.00
_cell_angle_gamma 90.00
_space_group_name_H-M_alt 'C m m m'
_space_group_IT_number 65
_space_group_name_Hall '-C 2 2'
loop_
_atom_site_label
_atom_site_fract_x
_atom_site_fract_y
_atom_site_fract_z
Dy1 0.000 0.138 0.000
In1 0.000 0.500 0.500
Ni1 0.000 0.300 0.500
```

=====

Entry 20:
A plane-wave DFT calculation with r2SCAN was carried out for Dy5In4Ni2 after structural relaxation.

* ΔE_f: -0.62 eV/atom

CIF file:
```
data_Dy5In4Ni2
_cell_length_a 7.912
_cell_length_b 17.817
_cell_length_c 3.597
_cell_angle_alpha 90.00
_cell_angle_beta 90.00
_cell_angle_gamma 90.00
_space_group_name_H-M_alt 'P b a m'
_space_group_IT_number 55
loop_
_space_group_symop_operation_xyz
'x,y,z'
'-x,-y,-z'
'-x,-y,z'
'x,y,-z'
'x+1/2,-y+1/2,-z'
'-x+1/2,y+1/2,z'
'-x+1/2,y+1/2,-z'
'x+1/2,-y+1/2,z'
loop_
_atom_site_label
_atom_site_fract_x
_atom_site_fract_y
_atom_site_fract_z
Dy1 0.000 0.000 0.000
Dy2 0.115 0.413 0.000
Dy3 0.246 0.222 0.000
In1 0.073 0.848 0.500
In2 0.207 0.570 0.500
Ni1 0.025 0.305 0.500
```

=====

Entry 21:
A plane-wave DFT calculation with r2SCAN was carried out for DyInO3 after structural relaxation.

* ΔE_f: -2.89 eV/atom

CIF file:
```
data_DyInO3
_cell_length_a 6.2881
_cell_length_b 6.2881
_cell_length_c 12.2711
_cell_angle_alpha 90.00
_cell_angle_beta 90.00
_cell_angle_gamma 120.00
_space_group_name_H-M_alt 'P 63 c m'
_space_group_IT_number 185
_space_group_name_Hall 'P 6c -2'
loop_
_atom_site_label
_atom_site_fract_x
_atom_site_fract_y
_atom_site_fract_z
Dy1 0.0000 0.0000 0.0000
Dy2 0.3333 0.6667 0.4639
In1 0.0000 0.3334 0.2297
O1 0.0000 0.0000 0.1967
O2 0.0000 0.3045 0.4012
O3 0.0000 0.3640 0.0602
O4 0.3333 0.6667 0.2593
```

=====

These records have total magnetization values of 0.00; 0.00; 0.00; 1.23; 0.03; 0.95; 0.00; 0.00; 0.00; 0.00; 0.00; 0.00; 0.00; 0.00; 0.00; 0.00; 0.00; 0.00; 0.00; 0.02; 0.00 μB/cell, in the order they appear.